GdHSe2O8 | r²SCAN | optimized geometry

Cell and atoms, written as POSCAR:
```
GdHSe2O8
1.0
9.193 0.000 0.000
0.000 10.062 0.000
0.000 0.000 13.490
Gd H Se O
8 8 16 64
Direct
0.720 0.452 0.106
0.220 0.548 0.394
0.280 0.048 0.606
0.780 0.952 0.894
0.280 0.548 0.894
0.780 0.452 0.606
0.720 0.952 0.394
0.220 0.048 0.106
0.157 0.755 0.199
0.657 0.245 0.301
0.843 0.745 0.699
0.343 0.255 0.801
0.843 0.245 0.801
0.343 0.755 0.699
0.157 0.255 0.301
0.657 0.745 0.199
0.810 0.600 0.349
0.310 0.400 0.151
0.190 0.900 0.849
0.690 0.100 0.651
0.190 0.400 0.651
0.690 0.600 0.849
0.810 0.100 0.151
0.310 0.900 0.349
0.993 0.717 0.065
0.493 0.283 0.435
0.007 0.783 0.565
0.507 0.217 0.935
0.007 0.283 0.935
0.507 0.717 0.565
0.993 0.217 0.435
0.493 0.783 0.065
0.988 0.591 0.343
0.488 0.409 0.157
0.012 0.909 0.843
0.512 0.091 0.657
0.012 0.409 0.657
0.512 0.591 0.843
0.988 0.091 0.157
0.488 0.909 0.343
0.734 0.487 0.279
0.234 0.513 0.221
0.266 0.013 0.779
0.766 0.987 0.721
0.266 0.513 0.721
0.766 0.487 0.779
0.734 0.987 0.221
0.234 0.013 0.279
0.756 0.585 0.465
0.256 0.415 0.035
0.244 0.915 0.965
0.744 0.085 0.535
0.244 0.415 0.535
0.744 0.585 0.965
0.756 0.085 0.035
0.256 0.915 0.465
0.753 0.748 0.310
0.253 0.252 0.190
0.247 0.752 0.810
0.747 0.248 0.690
0.247 0.252 0.690
0.747 0.748 0.810
0.753 0.248 0.190
0.253 0.752 0.310
0.889 0.840 0.033
0.389 0.160 0.467
0.111 0.660 0.533
0.611 0.340 0.967
0.111 0.160 0.967
0.611 0.840 0.533
0.889 0.340 0.467
0.389 0.660 0.033
0.919 0.346 0.028
0.419 0.654 0.472
0.081 0.154 0.528
0.581 0.846 0.972
0.081 0.654 0.972
0.581 0.346 0.528
0.919 0.846 0.472
0.419 0.154 0.028
0.917 0.606 0.136
0.417 0.394 0.364
0.083 0.894 0.636
0.583 0.106 0.864
0.083 0.394 0.864
0.583 0.606 0.636
0.917 0.106 0.364
0.417 0.894 0.136
0.114 0.804 0.141
0.614 0.196 0.359
0.886 0.696 0.641
0.386 0.304 0.859
0.886 0.196 0.859
0.386 0.804 0.641
0.114 0.304 0.359
0.614 0.696 0.141
```

Results
* magnetic moment: 56.00 μB per cell
* DFT formation energy: -1441 meV/atom

***

NdCd3 | r²SCAN | optimized geometry

Cell and atoms, written as POSCAR:
```
NdCd3
1.0
3.317 3.241 2.192
-1.682 3.550 3.298
1.079 -0.425 4.996
Nd Cd
1 3
Direct
0.000 0.000 0.000
0.250 0.250 0.250
0.750 0.750 0.750
0.500 0.500 0.500
```

Results
* magnetic moment: 0.00 μB per cell
* DFT formation energy: -350 meV/atom

***

Cd2P3Br | r²SCAN | optimized geometry

Cell and atoms, written as POSCAR:
```
Cd2P3Br
1.0
-1.052 -5.888 -1.311
5.885 -0.660 1.557
-2.805 -0.142 7.041
Cd P Br
4 6 2
Direct
0.649 0.353 0.423
0.353 0.649 0.923
0.143 0.848 0.492
0.848 0.143 0.992
0.943 0.553 0.957
0.553 0.943 0.457
0.681 0.589 0.743
0.589 0.681 0.243
0.815 0.908 0.671
0.908 0.815 0.171
0.122 0.374 0.454
0.374 0.122 0.954
```

Results
* magnetic moment: 0.00 μB per cell
* DFT formation energy: -406 meV/atom

***

Ti2ReRh | r²SCAN | optimized geometry

Cell and atoms, written as POSCAR:
```
Ti2ReRh
1.0
0.005 3.098 3.097
3.098 0.004 3.097
3.097 3.097 0.005
Ti Re Rh
2 1 1
Direct
0.000 0.000 0.000
0.500 0.500 0.500
0.250 0.250 0.250
0.750 0.750 0.750
```

Results
* magnetic moment: 0.00 μB per cell
* DFT formation energy: -734 meV/atom

***

Tb2Al3Si2 | r²SCAN | optimized geometry

Cell and atoms, written as POSCAR:
```
Tb2Al3Si2
1.0
4.048 0.000 0.000
-2.024 4.989 -0.987
0.000 -0.006 6.608
Tb Al Si
2 3 2
Direct
0.380 0.760 0.678
0.620 0.240 0.322
0.694 0.389 0.868
0.000 0.000 0.000
0.306 0.611 0.132
0.908 0.816 0.359
0.092 0.184 0.641
```

Results
* magnetic moment: 0.00 μB per cell
* DFT formation energy: -587 meV/atom

***

Ag2SeO4 | r²SCAN | optimized geometry

Cell and atoms, written as POSCAR:
```
Ag2SeO4
1.0
6.137 -0.258 -1.228
-3.673 4.923 -1.228
0.029 0.056 7.029
Ag Se O
4 2 8
Direct
0.176 0.824 0.250
0.574 0.426 0.250
0.824 0.176 0.750
0.426 0.574 0.750
0.875 0.125 0.250
0.125 0.875 0.750
0.871 0.300 0.101
0.200 0.270 0.399
0.700 0.129 0.399
0.730 0.800 0.101
0.129 0.700 0.899
0.800 0.730 0.601
0.270 0.200 0.899
0.300 0.871 0.601
```

Results
* magnetic moment: 0.00 μB per cell
* DFT formation energy: -541 meV/atom